[1]
Below is a geometry-optimized KYMnWO6 structure, with properties calculated at the PBE with a Hubbard U level.

Properties
Calculated volume (A^3/atom): 13.2
Formation energy from the elements (eV/atom): -2.66

Structure (POSCAR):
```
KYMnWO6
1.0
5.550 0.000 0.000
0.000 5.730 0.000
-0.096 0.000 8.297
K Y Mn W O
2 2 2 2 12
Cartesian
1.362 0.000 0.030
4.091 2.865 8.267
1.385 0.507 4.164
4.068 3.373 4.133
1.322 3.049 6.209
4.132 0.183 2.087
1.278 2.986 2.121
4.176 0.121 6.176
0.235 1.134 6.244
0.389 1.275 2.021
0.750 2.760 4.118
1.605 3.048 0.277
2.384 4.550 2.678
2.565 4.747 5.602
2.888 1.882 2.695
3.070 1.684 5.619
3.849 0.183 8.020
4.704 5.625 4.179
5.065 4.140 6.275
5.219 3.999 2.053
```



[2]
Below is a geometry-optimized ZnFeNiP2O9 structure, with properties calculated at the PBE with a Hubbard U level.

Properties
Calculated volume (A^3/atom): 11.7
Formation energy from the elements (eV/atom): -2.07

Structure (POSCAR):
```
ZnFeNiP2O9
1.0
14.210 0.000 0.000
0.000 6.231 0.000
0.000 0.000 7.387
Zn Fe Ni P O
4 4 4 8 36
Cartesian
3.137 1.558 0.523
3.968 4.673 4.217
10.242 1.558 3.170
11.073 4.673 6.864
1.680 1.558 4.778
5.425 4.673 1.085
8.785 1.558 6.302
12.529 4.673 2.609
0.000 0.000 0.000
0.000 3.116 0.000
7.105 0.000 3.693
7.105 3.116 3.693
1.006 4.673 4.749
2.774 4.673 0.892
4.331 1.558 4.585
6.099 1.558 1.056
8.111 4.673 6.331
9.879 4.673 2.802
11.436 1.558 6.495
13.204 1.558 2.637
0.071 1.558 3.710
0.333 4.673 6.162
0.744 1.558 6.419
1.978 3.345 0.805
1.978 6.002 0.805
1.993 3.495 4.646
1.993 5.852 4.646
3.240 1.558 3.468
3.485 1.558 5.908
3.619 4.673 2.215
3.865 4.673 7.162
5.112 0.379 0.952
5.112 2.737 0.952
5.126 0.230 4.499
5.126 2.886 4.499
6.361 4.673 2.725
6.772 1.558 2.469
7.033 4.673 0.016
7.176 1.558 7.370
7.437 4.673 4.918
7.849 1.558 4.661
9.083 3.345 2.888
9.083 6.002 2.888
9.098 3.495 6.434
9.098 5.852 6.434
10.345 1.558 0.225
10.590 1.558 5.172
10.724 4.673 1.479
10.970 4.673 3.919
12.217 0.379 2.741
12.217 2.737 2.741
12.231 0.230 6.581
12.231 2.886 6.581
13.466 4.673 0.968
13.877 1.558 1.224
14.138 4.673 3.677
```



[3]
Below is a geometry-optimized RbCrF5 structure, with properties calculated at the PBE with a Hubbard U level.

Properties
Calculated volume (A^3/atom): 16.7
Formation energy from the elements (eV/atom): -2.87

Structure (POSCAR):
```
RbCrF5
1.0
5.659 0.000 0.000
0.000 7.853 0.000
0.000 0.000 10.502
Rb Cr F
4 4 20
Cartesian
0.000 0.887 0.000
0.000 6.966 5.251
2.830 2.934 6.769
2.830 4.919 1.518
0.000 3.328 3.747
0.000 4.525 8.998
2.830 0.930 2.737
2.830 6.923 7.988
0.000 1.968 4.936
0.000 3.452 7.529
0.000 4.401 2.278
0.000 5.885 10.186
1.291 3.554 9.829
1.291 4.299 4.579
1.410 2.333 2.746
1.410 5.520 7.996
1.543 0.354 7.890
1.543 7.499 2.639
2.830 1.061 4.536
2.830 1.261 0.951
2.830 6.591 6.202
2.830 6.792 9.787
4.117 0.354 7.890
4.117 7.499 2.639
4.250 2.333 2.746
4.250 5.520 7.996
4.369 3.554 9.829
4.369 4.299 4.579
```